Run w
The following is a PBE calculation of a relaxed Cs3Sb2Cl9 crystal, from Materials Project.

abc: 7.797 7.797 9.537
angles: 90.00 90.00 120.00
Fractional coordinates of all 14 atoms:
Cs: 0.000 0.000 0.000
Cs: 0.333 0.667 0.334
Cs: 0.667 0.333 0.666
Sb: 0.333 0.667 0.819
Sb: 0.667 0.333 0.181
Cl: 0.000 0.500 0.000
Cl: 0.178 0.355 0.672
Cl: 0.178 0.822 0.672
Cl: 0.355 0.178 0.328
Cl: 0.500 0.000 0.000
Cl: 0.500 0.500 0.000
Cl: 0.645 0.822 0.672
Cl: 0.822 0.178 0.328
Cl: 0.822 0.645 0.328

* space-group type: P-3m1, No. 164

---

Run x
The following is a PBE calculation of a relaxed Cs3Sb2Cl9 crystal, from Materials Project.

abc: 18.964 7.753 13.280
angles: 90.00 90.00 90.00
Fractional coordinates of all 56 atoms:
Cs: 0.082 0.250 0.083
Cs: 0.091 0.750 0.585
Cs: 0.248 0.750 0.251
Cs: 0.252 0.250 0.751
Cs: 0.409 0.250 0.085
Cs: 0.418 0.750 0.583
Cs: 0.582 0.250 0.417
Cs: 0.591 0.750 0.915
Cs: 0.748 0.750 0.249
Cs: 0.752 0.250 0.749
Cs: 0.909 0.250 0.415
Cs: 0.918 0.750 0.917
Sb: 0.001 0.250 0.735
Sb: 0.185 0.750 0.916
Sb: 0.315 0.250 0.416
Sb: 0.499 0.750 0.235
Sb: 0.501 0.250 0.765
Sb: 0.685 0.750 0.584
Sb: 0.815 0.250 0.084
Sb: 0.999 0.750 0.265
Cl: 0.076 0.516 0.337
Cl: 0.076 0.984 0.337
Cl: 0.077 0.250 0.582
Cl: 0.089 0.750 0.084
Cl: 0.094 0.504 0.824
Cl: 0.094 0.996 0.824
Cl: 0.241 0.250 0.258
Cl: 0.248 0.005 0.501
Cl: 0.248 0.495 0.501
Cl: 0.252 0.505 0.001
Cl: 0.252 0.995 0.001
Cl: 0.259 0.750 0.758
Cl: 0.406 0.004 0.324
Cl: 0.406 0.496 0.324
Cl: 0.411 0.250 0.584
Cl: 0.423 0.750 0.082
Cl: 0.424 0.016 0.837
Cl: 0.424 0.484 0.837
Cl: 0.576 0.516 0.163
Cl: 0.576 0.984 0.163
Cl: 0.577 0.250 0.918
Cl: 0.589 0.750 0.416
Cl: 0.594 0.504 0.676
Cl: 0.594 0.996 0.676
Cl: 0.741 0.250 0.242
Cl: 0.748 0.005 0.999
Cl: 0.748 0.495 0.999
Cl: 0.752 0.505 0.499
Cl: 0.752 0.995 0.499
Cl: 0.759 0.750 0.742
Cl: 0.906 0.004 0.176
Cl: 0.906 0.496 0.176
Cl: 0.911 0.250 0.916
Cl: 0.923 0.750 0.418
Cl: 0.924 0.016 0.663
Cl: 0.924 0.484 0.663

* space-group type: Pnma, No. 62

---

Which structure is the most stable? The one labeled run w.

---

Run w
The following is a PBE calculation of a relaxed K2CuCl2F2 crystal, from Materials Project.

abc: 8.113 8.113 6.337
angles: 90.00 90.00 45.98
Fractional coordinates of all 14 atoms:
K: 0.123 0.123 0.000
K: 0.377 0.377 0.500
K: 0.623 0.623 0.500
K: 0.877 0.877 0.000
Cu: 0.000 0.000 0.500
Cu: 0.500 0.500 0.000
Cl: 0.156 0.156 0.500
Cl: 0.344 0.344 0.000
Cl: 0.656 0.656 0.000
Cl: 0.844 0.844 0.500
F: 0.214 0.786 0.714
F: 0.286 0.714 0.214
F: 0.714 0.286 0.786
F: 0.786 0.214 0.286

* space-group type: Cmce, No. 64

---

Run x
The following is a PBE calculation of a relaxed K2CuCl2F2 crystal, from Materials Project.

abc: 7.297 7.297 7.297
angles: 139.60 139.60 58.47
Fractional coordinates of all 7 atoms:
K: 0.151 0.151 0.000
K: 0.849 0.849 0.000
Cu: 0.500 0.500 0.000
Cl: 0.000 0.500 0.500
Cl: 0.500 0.000 0.500
F: 0.349 0.349 0.000
F: 0.651 0.651 0.000

* space-group type: I4/mmm, No. 139

---

Which structure is the most stable? The one labeled run w.

---

Run w
The following is a PBE calculation of a relaxed LaMgNb2CuClO7 crystal, from Materials Project.

abc: 4.073 4.073 11.766
angles: 90.00 90.00 90.00
Fractional coordinates of all 13 atoms:
La: 0.000 0.000 0.000
Mg: 0.000 0.000 0.682
Nb: 0.500 0.500 0.164
Nb: 0.500 0.500 0.790
Cu: 0.500 0.500 0.472
Cl: 0.000 0.000 0.488
O: 0.000 0.500 0.122
O: 0.000 0.500 0.794
O: 0.500 0.000 0.122
O: 0.500 0.000 0.794
O: 0.500 0.500 0.315
O: 0.500 0.500 0.631
O: 0.500 0.500 0.966

* space-group type: P4mm, No. 99

---

Run x
The following is a PBE calculation of a relaxed LaMgNb2CuClO7 crystal, from Materials Project.

abc: 4.034 4.074 11.852
angles: 90.00 90.00 90.00
Fractional coordinates of all 13 atoms:
La: 0.000 0.000 0.000
Mg: 0.500 0.000 0.370
Nb: 0.500 0.500 0.184
Nb: 0.500 0.500 0.826
Cu: 0.500 0.500 0.520
Cl: 0.000 0.000 0.489
O: 0.000 0.500 0.156
O: 0.000 0.500 0.865
O: 0.500 0.000 0.193
O: 0.500 0.000 0.867
O: 0.500 0.500 0.015
O: 0.500 0.500 0.355
O: 0.500 0.500 0.674

* space-group type: Pmm2, No. 25

---

Which structure is the most stable? The one labeled run x.

---

Run w
The following is a PBE calculation of a relaxed Cu2ClO3 crystal, from Materials Project.

abc: 5.800 5.800 5.800
angles: 65.98 65.98 65.98
Fractional coordinates of all 12 atoms:
Cu: 0.000 0.000 0.000
Cu: 0.000 0.000 0.500
Cu: 0.000 0.500 0.000
Cu: 0.500 0.000 0.000
Cl: 0.307 0.307 0.307
Cl: 0.693 0.693 0.693
O: 0.166 0.767 0.767
O: 0.233 0.233 0.834
O: 0.233 0.834 0.233
O: 0.767 0.166 0.767
O: 0.767 0.767 0.166
O: 0.834 0.233 0.233

* space-group type: R-3m, No. 166

---

Run x
The following is a PBE calculation of a relaxed Cu2ClO3 crystal, from Materials Project.

abc: 5.327 5.931 5.358
angles: 90.00 90.69 90.00
Fractional coordinates of all 12 atoms:
Cu: 0.000 0.000 0.000
Cu: 0.000 0.500 0.000
Cu: 0.498 0.250 0.012
Cu: 0.502 0.750 0.988
Cl: 0.213 0.750 0.629
Cl: 0.787 0.250 0.371
O: 0.114 0.250 0.834
O: 0.324 0.510 0.142
O: 0.324 0.990 0.142
O: 0.676 0.010 0.858
O: 0.676 0.490 0.858
O: 0.886 0.750 0.166

* space-group type: P2_1/m, No. 11

---

Which structure is the most stable? The one labeled run x.